An optimized crystal structure of Ho2Al3Co14, computed with GGA-PBE.

**Total moment**: 33.2 μB per cell
**Calculated total energy**: -248.0 eV/cell
**Energy relative to the elements**: -0.2159 eV per atom

The structure in CIF format:
```
data_Ho2Al3Co14
_cell_length_a 8.3436
_cell_length_b 8.3436
_cell_length_c 8.1483
_cell_angle_alpha 90.00
_cell_angle_beta 90.00
_cell_angle_gamma 120.00
_symmetry_space_group_name_H-M 'P 63/m m c'
_symmetry_Int_Tables_number 194
_symmetry_space_group_name_Hall '-P 6c 2c'
loop_
_atom_site_label
_atom_site_type_symbol
_atom_site_fract_x
_atom_site_fract_y
_atom_site_fract_z
Ho1 Ho 0.0000 0.0000 0.2500
Ho2 Ho 0.3333 0.6667 0.2500
Al1 Al 0.0000 0.5000 0.0000
Co1 Co 0.0444 0.3711 0.7500
Co2 Co 0.1626 0.3252 0.0148
Co3 Co 0.3333 0.6667 0.6101
```